DFT (PBE) results for a relaxed MgCu2O4 crystal.

Summary:
Space group: I4_1/a, No. 88
Formation energy in kJ/mol of formula units: -985
V in Å³ per cell: 146.68

a = 5.9718 Å, b = 5.9718 Å, c = 5.9718 Å
α = 121.63°, β = 121.63°, γ = 87.19°
Closest atoms and distances in Å follow each position.
Positions (direct):
1 Mg 0.3750 0.1250 0.2500  4 O 2.06
2 Mg 0.6250 0.8750 0.7500  4 O 2.06
3 Cu 0.0000 0.0000 0.5000  4 O 1.85-1.87
4 Cu 0.0000 0.5000 0.0000  4 O 1.85-1.87
5 Cu 0.0000 0.5000 0.5000  4 O 1.85-1.87
6 Cu 0.5000 0.5000 0.0000  4 O 1.85-1.87
7 O 0.1072 0.7266 0.9222  2 Cu 1.85-1.87, 1 Mg 2.06
8 O 0.2266 0.8045 0.6195  2 Cu 1.85-1.87, 1 Mg 2.06
9 O 0.3045 0.1850 0.5778  2 Cu 1.85-1.87, 1 Mg 2.06
10 O 0.3150 0.3928 0.1195  2 Cu 1.85-1.87, 1 Mg 2.06
11 O 0.6850 0.6072 0.8805  2 Cu 1.85-1.87, 1 Mg 2.06
12 O 0.6955 0.8150 0.4222  2 Cu 1.85-1.87, 1 Mg 2.06
13 O 0.7734 0.1955 0.3805  2 Cu 1.85-1.87, 1 Mg 2.06
14 O 0.8928 0.2734 0.0778  2 Cu 1.85-1.87, 1 Mg 2.06

---

DFT (PBE) results for a relaxed MgCu2O4 crystal.

Summary:
Space group: Fd-3m, No. 227
Formation energy in kJ/mol of formula units: -947
V in Å³ per cell: 148.17

a = 5.9397 Å, b = 5.9397 Å, c = 5.9397 Å
α = 60.00°, β = 60.00°, γ = 60.00°
Closest atoms and distances in Å follow each position.
Positions (direct):
1 Mg 0.1250 0.1250 0.1250  4 O 1.98
2 Mg 0.8750 0.8750 0.8750  4 O 1.98
3 Cu 0.0000 0.5000 0.5000  6 O 2.01
4 Cu 0.5000 0.0000 0.5000  6 O 2.01
5 Cu 0.5000 0.5000 0.0000  6 O 2.01
6 Cu 0.5000 0.5000 0.5000  6 O 2.01
7 O 0.2610 0.2610 0.2610  1 Mg 1.98, 3 Cu 2.01
8 O 0.2610 0.2610 0.7169  1 Mg 1.98, 3 Cu 2.01
9 O 0.2610 0.7169 0.2610  1 Mg 1.98, 3 Cu 2.01
10 O 0.2831 0.7390 0.7390  1 Mg 1.98, 3 Cu 2.01
11 O 0.7169 0.2610 0.2610  1 Mg 1.98, 3 Cu 2.01
12 O 0.7390 0.2831 0.7390  1 Mg 1.98, 3 Cu 2.01
13 O 0.7390 0.7390 0.2831  1 Mg 1.98, 3 Cu 2.01
14 O 0.7390 0.7390 0.7390  1 Mg 1.98, 3 Cu 2.01

---

DFT (PBE) results for a relaxed MgCu2O4 crystal.

Summary:
Space group: R3m, No. 160
Formation energy in kJ/mol of formula units: -968
V in Å³ per cell: 147.56

a = 5.9072 Å, b = 5.9072 Å, c = 5.9072 Å
α = 60.55°, β = 60.55°, γ = 60.55°
Closest atoms and distances in Å follow each position.
Positions (direct):
1 Mg 0.0000 0.0000 0.0000  6 O 2.05-2.09
2 Mg 0.3863 0.3863 0.3863  4 O 1.98-1.99
3 Cu 0.0009 0.0009 0.4976  6 O 1.95-2.10
4 Cu 0.0009 0.4976 0.0009  6 O 1.95-2.10
5 Cu 0.4976 0.0009 0.0009  6 O 1.95-2.10
6 Cu 0.6192 0.6192 0.6192  4 O 1.89-1.98
7 O 0.2112 0.7515 0.7515  3 Cu 1.96-1.98, 1 Mg 2.09
8 O 0.2431 0.2431 0.7928  2 Cu 1.95, 2 Mg 1.98-2.05
9 O 0.2431 0.7928 0.2431  2 Cu 1.95, 2 Mg 1.98-2.05
10 O 0.2483 0.2483 0.2483  1 Mg 1.99, 3 Cu 2.08
11 O 0.7500 0.7500 0.7500  4 Cu 1.89-2.10
12 O 0.7515 0.2112 0.7515  3 Cu 1.96-1.98, 1 Mg 2.09
13 O 0.7515 0.7515 0.2112  3 Cu 1.96-1.98, 1 Mg 2.09
14 O 0.7928 0.2431 0.2431  2 Cu 1.95, 2 Mg 1.98-2.05

---

DFT (PBE) results for a relaxed MgCu2O4 crystal.

Summary:
Space group: P3m1, No. 156
Formation energy in kJ/mol of formula units: -959
V in Å³ per cell: 440.89

a = 5.9307 Å, b = 5.9307 Å, c = 14.4739 Å
α = 90.00°, β = 90.00°, γ = 120.00°
Closest atoms and distances in Å follow each position.
Positions (direct):
1 Mg 0.0000 0.0000 0.0000  4 O 1.99-2.00
2 Mg 0.0000 0.0000 0.2435  4 O 1.97-2.00
3 Mg 0.3333 0.6667 0.5781  4 O 1.98-1.99
4 Mg 0.6667 0.3333 0.2873  6 O 2.05-2.09
5 Mg 0.6667 0.3333 0.6631  4 O 1.98
6 Mg 0.6667 0.3333 0.9125  4 O 1.96-1.98
7 Cu 0.0000 0.0000 0.6236  6 O 2.00
8 Cu 0.1668 0.3335 0.7890  6 O 2.00-2.02
9 Cu 0.1668 0.8332 0.7890  6 O 2.00-2.02
10 Cu 0.3324 0.1662 0.4548  6 O 1.99-2.01
11 Cu 0.3333 0.6667 0.3334  4 O 1.91-1.93
12 Cu 0.3333 0.6667 0.9556  6 O 2.00-2.01
13 Cu 0.5004 0.0007 0.1229  6 O 1.97-2.06
14 Cu 0.5004 0.4996 0.1229  6 O 1.97-2.06
15 Cu 0.6665 0.8332 0.7890  6 O 2.00-2.02
16 Cu 0.8338 0.1662 0.4548  6 O 1.99-2.01
17 Cu 0.8338 0.6676 0.4548  6 O 1.99-2.01
18 Cu 0.9993 0.4996 0.1229  6 O 1.97-2.06
19 O 0.0000 0.0000 0.3819  1 Mg 2.00, 3 Cu 2.01
20 O 0.0000 0.0000 0.8627  1 Mg 1.99, 3 Cu 2.02
21 O 0.0310 0.5155 0.8688  1 Mg 1.98, 3 Cu 2.00
22 O 0.1498 0.2997 0.5357  1 Mg 1.98, 3 Cu 2.00-2.01
23 O 0.1498 0.8502 0.5357  1 Mg 1.98, 3 Cu 2.00-2.01
24 O 0.1840 0.3681 0.0449  3 Cu 1.98-2.01, 1 Mg 2.00
25 O 0.1840 0.8160 0.0449  3 Cu 1.98-2.01, 1 Mg 2.00
26 O 0.3039 0.1519 0.7094  1 Mg 1.98, 3 Cu 2.00-2.01
27 O 0.3333 0.6667 0.2015  4 Cu 1.91-2.06
28 O 0.3333 0.6667 0.7156  1 Mg 1.99, 3 Cu 2.01
29 O 0.3595 0.1798 0.1970  2 Mg 1.97-2.05, 2 Cu 1.97
30 O 0.4845 0.5155 0.8688  1 Mg 1.98, 3 Cu 2.00
31 O 0.4845 0.9690 0.8688  1 Mg 1.98, 3 Cu 2.00
32 O 0.5102 0.0204 0.3793  3 Cu 1.93-1.99, 1 Mg 2.09
33 O 0.5102 0.4898 0.3793  3 Cu 1.93-1.99, 1 Mg 2.09
34 O 0.6319 0.8160 0.0449  3 Cu 1.98-2.01, 1 Mg 2.00
35 O 0.6667 0.3333 0.0476  1 Mg 1.96, 3 Cu 2.03
36 O 0.6667 0.3333 0.5261  1 Mg 1.98, 3 Cu 2.00
37 O 0.7003 0.8502 0.5357  1 Mg 1.98, 3 Cu 2.00-2.01
38 O 0.8202 0.1798 0.1970  2 Mg 1.97-2.05, 2 Cu 1.97
39 O 0.8202 0.6405 0.1970  2 Mg 1.97-2.05, 2 Cu 1.97
40 O 0.8481 0.1519 0.7094  1 Mg 1.98, 3 Cu 2.00-2.01
41 O 0.8481 0.6961 0.7094  1 Mg 1.98, 3 Cu 2.00-2.01
42 O 0.9796 0.4898 0.3793  3 Cu 1.93-1.99, 1 Mg 2.09

---

DFT (PBE) results for a relaxed MgCu2O4 crystal.

Summary:
Space group: Cm, No. 8
Formation energy in kJ/mol of formula units: -959
V in Å³ per cell: 441.12

a = 5.9092 Å, b = 5.9092 Å, c = 14.5062 Å
α = 90.26°, β = 90.26°, γ = 60.56°
Closest atoms and distances in Å follow each position.
Positions (direct):
1 Mg 0.0000 0.0000 0.0000  6 O 2.05-2.12
2 Mg 0.1668 0.1668 0.8330  6 O 2.05-2.08
3 Mg 0.3231 0.3231 0.2920  4 O 1.98-2.03
4 Mg 0.3338 0.3338 0.6664  6 O 2.05-2.10
5 Mg 0.5011 0.5011 0.4997  6 O 2.05-2.09
6 Mg 0.8318 0.8318 0.1662  6 O 2.04-2.09
7 Cu 0.0016 0.4997 0.5009  6 O 1.93-2.10
8 Cu 0.0036 0.0036 0.3747  4 O 1.90-1.98
9 Cu 0.1666 0.6669 0.8329  6 O 1.92-2.04
10 Cu 0.3343 0.8315 0.1650  6 O 1.91-2.04
11 Cu 0.3400 0.3400 0.0421  4 O 1.91-1.93
12 Cu 0.4997 0.0016 0.5009  6 O 1.93-2.10
13 Cu 0.6598 0.6598 0.9530  4 O 1.92-1.93
14 Cu 0.6669 0.1666 0.8329  6 O 1.92-2.04
15 Cu 0.6669 0.6669 0.3322  6 O 1.96-2.04
16 Cu 0.6741 0.6741 0.7115  4 O 1.92-1.99
17 Cu 0.8315 0.3343 0.1650  6 O 1.91-2.04
18 Cu 0.9931 0.9931 0.6245  4 O 1.90-1.92
19 O 0.0078 0.0078 0.2410  3 Cu 1.94-2.01, 1 Mg 2.09
20 O 0.0267 0.4993 0.7558  2 Cu 1.92, 2 Mg 2.05
21 O 0.1646 0.1646 0.0903  3 Cu 1.93-2.03, 1 Mg 2.12
22 O 0.1667 0.6902 0.0903  2 Cu 1.91-1.93, 2 Mg 2.05-2.07
23 O 0.1679 0.1679 0.5797  3 Cu 1.90-2.06, 1 Mg 2.10
24 O 0.1678 0.6453 0.5770  2 Cu 1.92-1.93, 2 Mg 2.06-2.07
25 O 0.3059 0.8351 0.9101  2 Cu 1.92, 2 Mg 2.05
26 O 0.3259 0.3259 0.4301  2 Cu 1.96, 2 Mg 2.00-2.05
27 O 0.3391 0.3391 0.9102  3 Cu 1.91-2.03, 1 Mg 2.08
28 O 0.3698 0.8287 0.4163  3 Cu 1.96-1.98, 1 Mg 2.09
29 O 0.4950 0.4950 0.7549  3 Cu 1.94-2.04, 1 Mg 2.08
30 O 0.4993 0.0267 0.7558  2 Cu 1.92, 2 Mg 2.05
31 O 0.5090 0.9601 0.2466  2 Cu 1.95-1.96, 2 Mg 1.98-2.04
32 O 0.5097 0.5097 0.2453  1 Mg 2.03, 3 Cu 2.03-2.04
33 O 0.6453 0.1678 0.5770  2 Cu 1.92-1.93, 2 Mg 2.06-2.07
34 O 0.6613 0.6613 0.0864  3 Cu 1.93-2.04, 1 Mg 2.09
35 O 0.6760 0.6760 0.5745  3 Cu 1.99, 1 Mg 2.08
36 O 0.6902 0.1667 0.0903  2 Cu 1.91-1.93, 2 Mg 2.05-2.07
37 O 0.8272 0.8272 0.4155  4 Cu 1.90-2.10
38 O 0.8287 0.3698 0.4163  3 Cu 1.96-1.98, 1 Mg 2.09
39 O 0.8351 0.3059 0.9101  2 Cu 1.92, 2 Mg 2.05
40 O 0.8390 0.8390 0.9109  3 Cu 1.93-2.03, 1 Mg 2.09
41 O 0.9601 0.5090 0.2466  2 Cu 1.95-1.96, 2 Mg 1.98-2.04
42 O 0.9944 0.9944 0.7562  3 Cu 1.91-2.02, 1 Mg 2.08

---

DFT (PBE) results for a relaxed MgCu2O2 crystal.

Summary:
Space group: P-1, No. 2
Formation energy in kJ/mol of formula units: -619
V in Å³ per cell: 78.85

a = 3.0967 Å, b = 4.5271 Å, c = 5.7615 Å
α = 79.88°, β = 82.59°, γ = 88.18°
Closest atoms and distances in Å follow each position.
Positions (direct):
1 Mg 0.0000 0.0000 0.0000  4 O 2.02-2.03
2 Cu 0.5000 0.0000 0.5000  2 O 1.82
3 Cu 0.5000 0.5000 0.0000  2 O 1.82
4 O 0.4486 0.1304 0.1866  2 Cu 1.82, 2 Mg 2.02-2.03
5 O 0.5514 0.8696 0.8134  2 Cu 1.82, 2 Mg 2.02-2.03

---

DFT (PBE) results for a relaxed MgCu2O2 crystal.

Summary:
Space group: C2, No. 5
Formation energy in kJ/mol of formula units: -573
V in Å³ per cell: 59.80

a = 2.9402 Å, b = 2.9402 Å, c = 7.1743 Å
α = 100.79°, β = 100.79°, γ = 90.13°
Closest atoms and distances in Å follow each position.
Positions (direct):
1 Mg 0.0000 0.0000 0.0000  4 O 2.08
2 Cu 0.3501 0.3495 0.6822  2 O 1.94
3 Cu 0.6505 0.6499 0.3178  2 O 1.94
4 O 0.2337 0.7663 0.5000  4 Cu 1.94
5 O 0.5004 0.4996 0.0000  4 Mg 2.08, 2 Cu 2.20

---

DFT (PBE) results for a relaxed MgCu4O8 crystal.

Summary:
Space group: I-4m2, No. 119
Formation energy in kJ/mol of formula units: -1280
V in Å³ per cell: 145.23

a = 5.8988 Å, b = 5.8988 Å, c = 5.8988 Å
α = 119.96°, β = 119.96°, γ = 90.07°
Closest atoms and distances in Å follow each position.
Positions (direct):
1 Mg 0.0000 0.0000 0.0000  4 O 1.99
2 Cu 0.3757 0.1270 0.7514  6 O 1.95-1.99
3 Cu 0.3757 0.6243 0.2486  6 O 1.95-1.99
4 Cu 0.3757 0.6243 0.7514  6 O 1.95-1.99
5 Cu 0.8730 0.6243 0.2486  6 O 1.95-1.99
6 O 0.1374 0.8623 0.2752  1 Mg 1.99, 3 Cu 1.99
7 O 0.1377 0.4129 0.2752  1 Mg 1.99, 3 Cu 1.99
8 O 0.1377 0.8626 0.7248  1 Mg 1.99, 3 Cu 1.99
9 O 0.1727 0.3910 0.7816  3 Cu 1.95-1.96
10 O 0.5871 0.8623 0.7248  1 Mg 1.99, 3 Cu 1.99
11 O 0.6094 0.3910 0.2184  3 Cu 1.95-1.96
12 O 0.6090 0.3906 0.7816  3 Cu 1.95-1.96
13 O 0.6090 0.8273 0.2184  3 Cu 1.95-1.96

---

DFT (PBE) results for a relaxed MgCu4O8 crystal.

Summary:
Space group: R-3m, No. 166
Formation energy in kJ/mol of formula units: -1237
V in Å³ per cell: 143.45

a = 5.8245 Å, b = 5.8245 Å, c = 5.8245 Å
α = 61.20°, β = 61.20°, γ = 61.20°
Closest atoms and distances in Å follow each position.
Positions (direct):
1 Mg 0.0000 0.0000 0.0000  6 O 2.12
2 Cu 0.0000 0.5000 0.5000  6 O 1.95-1.97
3 Cu 0.5000 0.0000 0.5000  6 O 1.95-1.97
4 Cu 0.5000 0.5000 0.0000  6 O 1.95-1.97
5 Cu 0.5000 0.5000 0.5000  6 O 2.05
6 O 0.2538 0.2538 0.7141  3 Cu 1.95-2.05, 1 Mg 2.12
7 O 0.2538 0.7141 0.2538  3 Cu 1.95-2.05, 1 Mg 2.12
8 O 0.2642 0.2642 0.2642  3 Cu 1.97
9 O 0.2859 0.7462 0.7462  3 Cu 1.95-2.05, 1 Mg 2.12
10 O 0.7141 0.2538 0.2538  3 Cu 1.95-2.05, 1 Mg 2.12
11 O 0.7358 0.7358 0.7358  3 Cu 1.97
12 O 0.7462 0.2859 0.7462  3 Cu 1.95-2.05, 1 Mg 2.12
13 O 0.7462 0.7462 0.2859  3 Cu 1.95-2.05, 1 Mg 2.12

---

DFT (PBE) results for a relaxed MgCu2O2 crystal.

Summary:
Space group: C2, No. 5
Formation energy in kJ/mol of formula units: -514
V in Å³ per cell: 64.04

a = 2.8927 Å, b = 2.8927 Å, c = 7.6525 Å
α = 90.16°, β = 90.16°, γ = 89.97°
Closest atoms and distances in Å follow each position.
Positions (direct):
1 Mg 0.0000 0.0000 0.0000  4 O 2.04-2.05
2 Cu 0.0165 0.4996 0.6647  2 O 1.92
3 Cu 0.5004 0.9835 0.3353  2 O 1.92
4 O 0.4996 0.5004 0.0000  4 Mg 2.04-2.05
5 O 0.5162 0.4838 0.5000  4 Cu 1.92

---

DFT (PBE) results for a relaxed MgCu2O4 crystal.

Summary:
Space group: P1, No. 1
Formation energy in kJ/mol of formula units: -926
V in Å³ per cell: 262.20

a = 2.9170 Å, b = 8.7328 Å, c = 10.2931 Å
α = 90.01°, β = 90.03°, γ = 90.05°
Closest atoms and distances in Å follow each position.
Positions (direct):
1 Mg 0.0000 0.0000 0.0000  8 O 2.18-2.42
2 Mg 0.0046 0.5013 0.8248  8 O 2.20-2.40
3 Mg 0.4937 0.0180 0.5019  8 O 2.19-2.43
4 Mg 0.4997 0.5201 0.3226  8 O 2.19-2.38
5 Cu 0.0050 0.8464 0.2628  6 O 1.94-2.06
6 Cu 0.0068 0.8195 0.7773  6 O 1.90-2.07
7 Cu 0.4975 0.1733 0.7626  6 O 1.94-2.06
8 Cu 0.4993 0.2001 0.2770  6 O 1.89-2.07
9 Cu 0.5044 0.6731 0.0611  6 O 1.94-2.05
10 Cu 0.5054 0.6993 0.5469  6 O 1.89-2.06
11 Cu 0.9971 0.3183 0.0462  6 O 1.89-2.06
12 Cu 0.9975 0.3466 0.5603  6 O 1.94-2.06
13 O 0.9999 0.2339 0.8768  3 Cu 1.89-1.95
14 O 0.0037 0.5502 0.4849  3 Cu 1.94-2.06
15 O 0.0037 0.6365 0.1970  3 Cu 1.95-2.05
16 O 0.0039 0.7302 0.9456  3 Cu 1.90-1.95
17 O 0.0048 0.8562 0.5886  3 Cu 1.97-2.05, 1 Mg 2.20
18 O 0.4921 0.1614 0.0877  3 Cu 1.98-2.06, 1 Mg 2.20
19 O 0.4940 0.3829 0.6967  3 Cu 1.95-2.06
20 O 0.4983 0.2879 0.4444  3 Cu 1.89-1.96
21 O 0.4998 0.4690 0.9863  3 Cu 1.94-2.06
22 O 0.5059 0.7849 0.3778  3 Cu 1.89-1.96
23 O 0.5058 0.8836 0.1252  3 Cu 1.95-2.06, 1 Mg 2.18
24 O 0.5069 0.6613 0.7352  3 Cu 1.97-2.06
25 O 0.5074 0.9707 0.8396  3 Cu 1.94-2.07
26 O 0.9941 0.1357 0.6252  3 Cu 1.96-2.06, 2 Mg 2.19
27 O 0.9974 0.3566 0.2346  3 Cu 1.97-2.05
28 O 0.9992 0.0497 0.3396  3 Cu 1.94-2.07

---

DFT (PBE) results for a relaxed MgCu2O4 crystal.

Summary:
Space group: Pmmn, No. 59
Formation energy in kJ/mol of formula units: -915
V in Å³ per cell: 292.78

a = 5.7533 Å, b = 10.0800 Å, c = 5.0485 Å
α = 90.00°, β = 90.00°, γ = 90.00°
Closest atoms and distances in Å follow each position.
Positions (direct):
1 Mg 0.2500 0.2500 0.0157  6 O 2.12-2.15
2 Mg 0.2500 0.7500 0.3432  6 O 2.09-2.17
3 Mg 0.7500 0.2500 0.6568  6 O 2.09-2.17
4 Mg 0.7500 0.7500 0.9843  6 O 2.12-2.15
5 Cu 0.0000 0.0000 0.5000  6 O 1.92-2.07
6 Cu 0.0000 0.5000 0.5000  6 O 1.92-2.07
7 Cu 0.2500 0.5170 0.9848  6 O 1.96-2.11
8 Cu 0.2500 0.9830 0.9848  6 O 1.96-2.11
9 Cu 0.5000 0.0000 0.5000  6 O 1.92-2.07
10 Cu 0.5000 0.5000 0.5000  6 O 1.92-2.07
11 Cu 0.7500 0.0170 0.0152  6 O 1.96-2.11
12 Cu 0.7500 0.4830 0.0152  6 O 1.96-2.11
13 O 0.0029 0.1181 0.8349  3 Cu 2.00-2.11, 2 Mg 2.15-2.17
14 O 0.0029 0.3819 0.8349  3 Cu 2.00-2.11, 2 Mg 2.15-2.17
15 O 0.2500 0.0956 0.3017  3 Cu 1.96-2.00, 1 Mg 2.12
16 O 0.2500 0.4044 0.3017  3 Cu 1.96-2.00, 1 Mg 2.12
17 O 0.2500 0.6053 0.6397  3 Cu 1.92-1.96, 1 Mg 2.09
18 O 0.2500 0.8947 0.6397  3 Cu 1.92-1.96, 1 Mg 2.09
19 O 0.4971 0.1181 0.8349  3 Cu 2.00-2.11, 2 Mg 2.15-2.17
20 O 0.4971 0.3819 0.8349  3 Cu 2.00-2.11, 2 Mg 2.15-2.17
21 O 0.5029 0.6181 0.1651  3 Cu 2.00-2.11, 2 Mg 2.15-2.17
22 O 0.5029 0.8819 0.1651  3 Cu 2.00-2.11, 2 Mg 2.15-2.17
23 O 0.7500 0.1053 0.3603  3 Cu 1.92-1.96, 1 Mg 2.09
24 O 0.7500 0.3947 0.3603  3 Cu 1.92-1.96, 1 Mg 2.09
25 O 0.7500 0.5956 0.6983  3 Cu 1.96-2.00, 1 Mg 2.12
26 O 0.7500 0.9044 0.6983  3 Cu 1.96-2.00, 1 Mg 2.12
27 O 0.9971 0.6181 0.1651  3 Cu 2.00-2.11, 2 Mg 2.15-2.17
28 O 0.9971 0.8819 0.1651  3 Cu 2.00-2.11, 2 Mg 2.15-2.17